Compound: YbOF
Source: the Materials Project
Functional: meta-GGA r2SCAN
Structure: optimized geometry

For the uncorrected energy, the calculation gives -19.49 eV/atom. The formation energy from the elements comes out at -4284 meV/atom.

Unit cell a=5.2886 b=5.2881 c=5.3178 alpha=90.00 beta=90.25 gamma=90.00
Space group C2/m (No. 12)
Asymmetric unit:
Yb  0.2491  0.0000  0.2897
O  0.0000  0.2498  0.5000
F  0.0000  0.2500  0.0000